--- P ---
## Na3TiInSiP2O12 (PBE-GGA)

Data for an optimized crystal structure of Na3TiInSiP2O12.

The structure in POSCAR format:
```
Na3TiInSiP2O12
1.0
-9.867 8.348 -8.802
-6.732 -1.870 5.773
4.930 3.238 6.798
Na Ti In Si P O
12 4 4 4 8 48
Cartesian
-2.467 3.994 8.745
-10.191 6.458 1.225
-4.034 9.103 1.458
-1.891 3.220 2.739
-1.941 6.458 1.266
-9.778 3.347 2.474
-0.374 1.349 8.554
-1.478 0.108 3.988
-6.688 0.804 5.718
1.588 4.037 4.134
-8.255 5.913 -1.570
-6.711 7.276 2.619
-9.339 9.103 2.850
-8.325 8.450 -3.533
-1.040 5.864 4.364
-6.758 3.341 3.755
-3.278 1.258 7.208
-2.423 0.561 0.962
-4.846 6.367 -0.079
-10.722 3.800 -0.552
-8.736 6.156 4.500
-5.922 6.003 -3.426
-0.437 2.917 6.015
-4.355 0.894 3.862
-12.560 8.946 1.883
-8.858 9.040 -6.804
-4.260 5.707 3.398
-7.291 3.931 0.484
-5.856 3.684 7.250
-2.861 3.581 -0.831
-7.423 8.793 -0.038
-11.161 6.820 -2.346
-1.686 2.639 7.011
-8.591 8.457 0.964
-9.989 7.134 -3.351
-3.197 1.285 2.795
-3.253 7.748 -0.276
-0.292 5.218 2.478
-8.421 2.025 3.937
-11.497 4.524 1.281
-5.221 4.469 3.448
-4.619 6.720 4.487
-6.533 5.254 0.617
-6.764 3.105 -0.741
-6.788 9.578 -3.839
3.681 3.482 6.002
-4.966 0.145 7.904
-15.064 6.344 -2.255
-4.612 2.939 7.771
-9.067 7.189 3.242
-7.395 6.719 -3.704
-2.268 2.656 0.249
-6.179 8.048 0.484
-0.767 3.950 4.757
-5.828 1.610 3.584
-10.567 5.895 -1.266
-6.376 3.246 5.834
-7.592 6.817 5.391
-5.401 6.492 -2.001
-4.013 2.968 -1.705
-7.943 8.355 -1.454
0.708 3.579 6.905
-3.833 1.383 5.287
-12.312 6.207 -3.220
-5.542 5.183 7.301
-8.067 4.738 3.844
-6.177 4.328 -3.289
-3.304 4.870 -0.130
-7.109 10.292 0.013
0.233 1.499 5.359
-4.610 -0.781 3.999
-11.604 8.109 -1.645
-2.818 1.365 9.351
-11.091 8.455 2.028
-8.723 8.178 -5.515
-0.476 1.081 1.830
-4.385 6.474 2.063
-2.791 5.216 3.542
-7.156 3.069 1.772
-8.776 4.320 0.315
```



--- Q ---
## Na3TiInSiP2O12 (PBE-GGA)

Data for an optimized crystal structure of Na3TiInSiP2O12.

The structure in POSCAR format:
```
Na3TiInSiP2O12
1.0
9.029 0.026 0.012
-4.492 7.833 -0.012
0.031 -0.018 22.117
Na Ti In Si P O
18 6 6 6 12 72
Cartesian
4.564 7.788 11.023
0.090 0.003 22.081
4.612 2.554 18.414
4.615 2.596 7.355
0.164 5.366 3.643
-0.013 5.024 14.702
1.673 2.837 5.494
6.123 4.983 5.417
2.933 4.982 16.553
3.299 0.056 16.476
-2.766 5.472 12.826
1.582 7.563 12.922
-1.600 7.527 1.768
-1.237 2.716 1.864
5.809 5.310 20.300
6.223 0.235 20.199
7.429 2.361 9.141
2.827 0.182 9.242
0.042 0.078 14.337
4.475 7.793 3.278
4.498 2.660 21.706
4.467 2.643 10.647
-0.039 5.174 6.960
0.053 5.297 18.019
4.480 7.787 7.723
0.049 0.077 18.782
4.606 2.585 15.115
4.586 2.587 4.056
0.021 5.217 0.343
0.045 5.223 11.402
-1.303 2.327 5.574
1.886 7.814 16.633
3.145 0.311 12.922
5.825 4.989 1.863
-1.280 7.602 20.308
-2.702 5.175 9.249
-1.832 7.792 5.519
3.138 5.551 5.504
1.314 2.357 16.562
-3.111 5.540 16.578
7.209 2.579 12.858
3.259 4.941 12.942
5.893 0.335 1.799
1.872 2.575 1.884
2.705 5.148 20.228
-1.326 2.940 20.307
1.313 7.546 9.248
1.415 2.951 9.169
1.871 0.188 6.831
3.882 6.052 6.735
8.018 1.603 6.977
1.252 1.462 17.793
5.326 6.136 17.889
7.174 0.104 18.035
2.949 7.654 15.345
0.718 1.537 15.342
-3.420 6.499 15.364
3.549 6.477 4.283
-0.633 1.486 4.286
-2.817 7.580 4.305
6.384 2.928 14.099
3.826 0.881 14.265
3.492 4.227 14.267
5.671 4.113 3.206
5.178 0.875 3.040
2.607 2.730 3.208
2.924 2.449 0.705
5.183 4.143 0.559
5.584 1.257 0.561
3.556 1.290 11.617
3.894 4.093 11.764
6.256 2.385 11.620
1.848 5.416 21.460
-0.817 3.435 21.665
-1.103 6.725 21.651
1.138 6.858 10.606
0.755 3.560 10.402
-1.854 5.461 10.592
-1.591 4.973 7.958
0.699 6.677 8.101
1.080 3.802 7.893
-0.880 3.906 19.159
-0.549 6.741 19.017
1.800 5.013 18.951
-3.582 6.517 9.092
7.306 0.028 9.140
0.859 1.513 9.093
8.181 1.508 20.199
-2.882 7.693 20.150
3.672 6.350 20.151
7.967 1.216 13.016
1.493 0.179 13.032
4.008 6.317 12.930
5.113 6.485 1.973
7.452 0.360 1.957
1.055 1.238 1.871
5.308 1.196 16.584
2.821 2.643 16.403
5.269 4.189 16.439
3.643 4.103 5.344
6.139 2.673 5.525
3.528 1.210 5.380
3.560 3.849 20.357
6.129 2.957 20.311
4.041 1.192 20.409
5.025 1.081 9.253
2.969 2.860 9.299
5.510 3.772 9.351
0.904 3.750 1.729
-1.581 5.174 1.778
0.876 6.738 1.656
-0.719 6.631 12.837
1.757 5.192 12.787
-0.844 3.722 12.715
-0.996 6.476 5.621
1.597 5.529 5.597
-0.496 3.818 5.630
0.563 3.702 16.656
-1.554 5.474 16.679
0.998 6.370 16.689
```

Symmetry = Cc



Which structure wins on stability? Q wins.